(1)
DFT (PBE+U) results for a relaxed structure of Cr4O9.

```
Cr4O9
1.0
8.4387 0.0000 0.0000
0.0000 8.4387 0.0000
0.0000 0.0000 5.3630
Cr O
8 18
Direct
0.0336 0.8426 0.1100
0.1574 0.5336 0.8900
0.3426 0.9664 0.8900
0.4664 0.6574 0.1100
0.5336 0.3426 0.8900
0.6574 0.0336 0.1100
0.8426 0.4664 0.1100
0.9664 0.1574 0.8900
0.0213 0.8315 0.4079
0.0324 0.3585 0.0112
0.1415 0.0324 0.0112
0.1685 0.5213 0.5921
0.2500 0.7500 0.0000
0.3315 0.9787 0.5921
0.3585 0.4676 0.0112
0.4676 0.1415 0.0112
0.4787 0.6685 0.4079
0.5213 0.3315 0.5921
0.5324 0.8585 0.9888
0.6415 0.5324 0.9888
0.6685 0.0213 0.4079
0.7500 0.2500 0.0000
0.8315 0.4787 0.4079
0.8585 0.9676 0.9888
0.9676 0.6415 0.9888
0.9787 0.1685 0.5921
```

Values from the calculation:
Its total energy is -182.00 eV/cell. The symmetry is P4/n. For the magnetic moment, the calculation gives 12.00 Bohr magnetons per cell. Its formation energy is -1.6949 eV/atom.

(2)
DFT (PBE+U) results for a relaxed structure of Cr2O3.

```
Cr2O3
1.0
9.1073 0.0000 0.0000
-0.4099 9.9751 0.0000
-0.4952 -0.9803 10.4601
Cr O
32 48
Direct
0.0000 0.0000 0.0000
0.0070 0.1094 0.7275
0.0476 0.8577 0.4849
0.0628 0.5668 0.4019
0.0842 0.7464 0.7550
0.0991 0.3328 0.5757
0.1655 0.6249 0.1404
0.2270 0.3066 0.3125
0.2434 0.2250 0.9822
0.2761 0.4805 0.8485
0.2895 0.9271 0.9203
0.3122 0.1132 0.4909
0.3402 0.7637 0.3765
0.4182 0.8779 0.6496
0.4227 0.2014 0.7282
0.4572 0.4832 0.5432
0.4590 0.0620 0.1747
0.4709 0.6747 0.0682
0.4829 0.4131 0.1982
0.6298 0.6364 0.7668
0.6342 0.0464 0.8561
0.6978 0.8917 0.1303
0.6987 0.0360 0.4519
0.7233 0.2641 0.6315
0.7483 0.2253 0.1160
0.7507 0.4198 0.3949
0.7527 0.5222 0.0481
0.8075 0.8937 0.7021
0.8778 0.5834 0.5866
0.9440 0.4424 0.8589
0.9753 0.0696 0.2861
0.9912 0.3793 0.1037
0.0189 0.9163 0.6682
0.0683 0.6858 0.5639
0.0905 0.5401 0.7622
0.0924 0.8361 0.9381
0.1108 0.1998 0.4241
0.1129 0.4669 0.2453
0.1162 0.3702 0.9439
0.1321 0.0839 0.8747
0.1320 0.7331 0.3224
0.2019 0.1820 0.6556
0.2427 0.4424 0.4704
0.2579 0.9129 0.5015
0.2761 0.6158 0.9895
0.2843 0.0702 0.0640
0.2913 0.7943 0.7682
0.3042 0.3364 0.1483
0.3380 0.1343 0.3139
0.3696 0.3154 0.8724
0.3733 0.6406 0.2236
0.4233 0.0310 0.8122
0.4408 0.5439 0.7342
0.4412 0.8646 0.0622
0.4420 0.7143 0.5192
0.4495 0.2926 0.5731
0.5020 0.0381 0.5555
0.5389 0.4583 0.3641
0.5407 0.4870 0.0594
0.5593 0.2430 0.1807
0.6070 0.8416 0.7561
0.6125 0.9806 0.2804
0.6280 0.2165 0.7871
0.6515 0.0526 0.0413
0.6855 0.7050 0.0920
0.6908 0.4665 0.5865
0.7417 0.2279 0.4460
0.7465 0.5313 0.8624
0.7941 0.0701 0.6270
0.8059 0.4053 0.2104
0.8216 0.3338 0.9813
0.8400 0.6128 0.4101
0.8432 0.7119 0.7274
0.8531 0.0167 0.8548
0.8927 0.9544 0.4125
0.9068 0.9299 0.1440
0.9341 0.2993 0.7059
0.9566 0.4279 0.4850
0.9695 0.5590 0.0422
0.9718 0.1824 0.1308
```

Values from the calculation:
Its total energy is -609.85 eV/cell. The symmetry is P1. For the magnetic moment, the calculation gives 96.00 Bohr magnetons per cell. Its formation energy is -2.0049 eV/atom.

(3)
DFT (PBE+U) results for a relaxed structure of Cr2P3O12.

```
Cr2P3O12
1.0
8.4335 0.0000 0.0000
0.0000 8.5728 0.0000
-8.2499 0.0000 11.8646
Cr P O
8 12 48
Direct
0.1276 0.0304 0.3812
0.1276 0.4696 0.8812
0.3659 0.0333 0.1192
0.3659 0.4667 0.6192
0.6341 0.5333 0.3808
0.6341 0.9667 0.8808
0.8724 0.5304 0.1188
0.8724 0.9696 0.6188
0.0410 0.7479 0.5080
0.0410 0.7521 0.0080
0.2505 0.1177 0.8543
0.2505 0.3823 0.3543
0.4663 0.6123 0.8563
0.4663 0.8877 0.3563
0.5337 0.1123 0.6437
0.5337 0.3877 0.1437
0.7495 0.6177 0.6457
0.7495 0.8823 0.1457
0.9590 0.2479 0.9920
0.9590 0.2521 0.4920
0.0200 0.6259 0.9268
0.0200 0.8741 0.4268
0.0218 0.6854 0.1009
0.0218 0.8146 0.6009
0.0663 0.0199 0.7732
0.0663 0.4801 0.2732
0.1227 0.1289 0.0650
0.1227 0.3711 0.5650
0.2094 0.2064 0.3310
0.2094 0.2936 0.8310
0.2381 0.6676 0.5659
0.2381 0.8324 0.0659
0.3058 0.6145 0.8774
0.3058 0.8855 0.3774
0.3265 0.0756 0.9755
0.3265 0.4244 0.4755
0.3398 0.0618 0.5378
0.3398 0.4382 0.0378
0.4001 0.0765 0.8288
0.4001 0.4235 0.3288
0.4088 0.0086 0.2626
0.4088 0.4914 0.7626
0.4885 0.7256 0.3206
0.4885 0.7744 0.8206
0.5115 0.2256 0.1794
0.5115 0.2744 0.6794
0.5912 0.5086 0.2374
0.5912 0.9914 0.7374
0.5999 0.5765 0.6712
0.5999 0.9235 0.1712
0.6602 0.5618 0.9622
0.6602 0.9382 0.4622
0.6735 0.5756 0.5245
0.6735 0.9244 0.0245
0.6942 0.1145 0.6226
0.6942 0.3855 0.1226
0.7619 0.1676 0.9341
0.7619 0.3324 0.4341
0.7906 0.7064 0.1690
0.7906 0.7936 0.6690
0.8773 0.6289 0.4350
0.8773 0.8711 0.9350
0.9337 0.5199 0.7268
0.9337 0.9801 0.2268
0.9782 0.1854 0.3991
0.9782 0.3146 0.8991
0.9800 0.1259 0.5732
0.9800 0.3741 0.0732
```

Values from the calculation:
Its total energy is -487.93 eV/cell. The symmetry is P2_1/c. For the magnetic moment, the calculation gives 12.00 Bohr magnetons per cell. The energy above the most stable polymorph in this dataset is 3 meV per atom. Its formation energy is -2.3120 eV/atom.

(4)
DFT (PBE+U) results for a relaxed structure of CrP4O12.

```
CrP4O12
1.0
4.8593 -6.7794 0.0000
4.8593 6.7794 0.0000
-1.8368 0.0000 7.4757
Cr P O
2 8 24
Direct
0.1322 0.8678 0.7500
0.8678 0.1322 0.2500
0.0415 0.2048 0.6698
0.2048 0.0415 0.1698
0.2502 0.5748 0.8790
0.4252 0.7498 0.6210
0.5748 0.2502 0.3790
0.7498 0.4252 0.1210
0.7952 0.9585 0.8302
0.9585 0.7952 0.3302
0.0046 0.7460 0.5077
0.0813 0.1410 0.1680
0.1135 0.6553 0.8162
0.1292 0.8708 0.2500
0.1410 0.0813 0.6680
0.1493 0.3695 0.8147
0.2540 0.9954 0.9923
0.3296 0.6150 0.0687
0.3447 0.8865 0.6838
0.3695 0.1493 0.3147
0.3850 0.6704 0.4313
0.3892 0.6108 0.7500
0.6108 0.3892 0.2500
0.6150 0.3296 0.5687
0.6305 0.8507 0.6853
0.6553 0.1135 0.3162
0.6704 0.3850 0.9313
0.7460 0.0046 0.0077
0.8507 0.6305 0.1853
0.8590 0.9187 0.3320
0.8708 0.1292 0.7500
0.8865 0.3447 0.1838
0.9187 0.8590 0.8320
0.9954 0.2540 0.4923
```

Values from the calculation:
Its total energy is -243.54 eV/cell. The symmetry is C2/c. For the magnetic moment, the calculation gives 4.00 Bohr magnetons per cell. The energy above the most stable polymorph in this dataset is 19 meV per atom. Its formation energy is -2.4312 eV/atom.

(5)
DFT (PBE+U) results for a relaxed structure of Cr2P3O12.

```
Cr2P3O12
1.0
4.2852 2.4741 7.1536
-4.2852 2.4741 7.1536
0.0000 -4.9481 7.1536
Cr P O
4 6 24
Direct
0.1393 0.1393 0.1393
0.3607 0.3607 0.3607
0.6393 0.6393 0.6393
0.8607 0.8607 0.8607
0.0352 0.7500 0.4648
0.2500 0.5352 0.9648
0.4648 0.0352 0.7500
0.5352 0.9648 0.2500
0.7500 0.4648 0.0352
0.9648 0.2500 0.5352
0.0050 0.7899 0.6345
0.0648 0.9184 0.2783
0.0816 0.7217 0.9352
0.1345 0.2899 0.5050
0.2101 0.3655 0.9950
0.2217 0.5816 0.4352
0.2783 0.0648 0.9184
0.2899 0.5050 0.1345
0.3655 0.9950 0.2101
0.4184 0.5648 0.7783
0.4352 0.2217 0.5816
0.4950 0.8655 0.7101
0.5050 0.1345 0.2899
0.5648 0.7783 0.4184
0.5816 0.4352 0.2217
0.6345 0.0050 0.7899
0.7101 0.4950 0.8655
0.7217 0.9352 0.0816
0.7783 0.4184 0.5648
0.7899 0.6345 0.0050
0.8655 0.7101 0.4950
0.9184 0.2783 0.0648
0.9352 0.0816 0.7217
0.9950 0.2101 0.3655
```

Values from the calculation:
Its total energy is -244.03 eV/cell. The symmetry is R-3c. For the magnetic moment, the calculation gives 6.00 Bohr magnetons per cell. The energy above the most stable polymorph in this dataset is 1 meV per atom. Its formation energy is -2.3138 eV/atom.

(6)
DFT (PBE+U) results for a relaxed structure of CrP2O7.

```
CrP2O7
1.0
5.1167 0.0000 0.0000
0.0000 8.2074 0.0000
-3.8777 0.0000 13.1219
Cr P O
4 8 28
Direct
0.1426 0.1517 0.3671
0.1426 0.3483 0.8671
0.8574 0.6517 0.1329
0.8574 0.8483 0.6329
0.0483 0.5447 0.3136
0.0483 0.9553 0.8136
0.2346 0.6992 0.9794
0.2346 0.8008 0.4794
0.7654 0.1992 0.5206
0.7654 0.3008 0.0206
0.9517 0.0447 0.1864
0.9517 0.4553 0.6864
0.0080 0.1306 0.8404
0.0080 0.3694 0.3404
0.0278 0.1711 0.4904
0.0278 0.3289 0.9904
0.1944 0.5645 0.2298
0.1944 0.9355 0.7298
0.1998 0.6281 0.4188
0.1998 0.8719 0.9188
0.2270 0.1318 0.2376
0.2270 0.3682 0.7376
0.2693 0.5679 0.9042
0.2693 0.9321 0.4042
0.4856 0.7298 0.0675
0.4856 0.7702 0.5675
0.5144 0.2298 0.4325
0.5144 0.2702 0.9325
0.7307 0.0679 0.5958
0.7307 0.4321 0.0958
0.7730 0.6318 0.2624
0.7730 0.8682 0.7624
0.8002 0.1281 0.0812
0.8002 0.3719 0.5812
0.8056 0.0645 0.2702
0.8056 0.4355 0.7702
0.9722 0.6711 0.0096
0.9722 0.8289 0.5096
0.9920 0.6306 0.6596
0.9920 0.8694 0.1596
```

Values from the calculation:
Its total energy is -289.22 eV/cell. The symmetry is P2_1/c. For the magnetic moment, the calculation gives 8.00 Bohr magnetons per cell. The energy above the most stable polymorph in this dataset is 57 meV per atom. Its formation energy is -2.3999 eV/atom.

Number 6 is which compound?
CrP2O7

Which of these has the highest magnetic moment?
Cr2O3